Record 1
Computed, not measured: an optimized crystal structure of Li2AlFeO4 at the GGA+U level of DFT.

abc: 6.480 5.137 10.827
angles: 90.00 90.05 90.00
Fractional positions:
Li1 0.000 0.178 0.083
Li2 0.000 0.322 0.583
Li3 0.000 0.678 0.417
Li4 0.000 0.822 0.917
Li5 0.245 0.670 0.164
Li6 0.245 0.830 0.664
Li7 0.755 0.170 0.336
Li8 0.755 0.330 0.836
Al1 0.499 0.172 0.090
Al2 0.499 0.328 0.590
Al3 0.501 0.672 0.410
Al4 0.501 0.828 0.910
Fe1 0.239 0.170 0.333
Fe2 0.239 0.330 0.833
Fe3 0.761 0.670 0.167
Fe4 0.761 0.830 0.667
O1 0.006 0.207 0.903
O2 0.006 0.293 0.403
O3 0.275 0.701 0.844
O4 0.275 0.799 0.344
O5 0.276 0.218 0.665
O6 0.276 0.282 0.165
O7 0.487 0.186 0.922
O8 0.487 0.314 0.422
O9 0.513 0.686 0.578
O10 0.513 0.814 0.078
O11 0.724 0.718 0.835
O12 0.724 0.782 0.335
O13 0.725 0.201 0.656
O14 0.725 0.299 0.156
O15 0.994 0.707 0.597
O16 0.994 0.793 0.097

***

Record 2
Computed, not measured: an optimized crystal structure of Li2AlFeO4 at the GGA+U level of DFT.

Computed properties:
**Maximum piezoelectric response**: 0.2 C/m²

abc: 5.353 5.353 6.400
angles: 90.00 90.00 90.58
Fractional positions:
Li1 0.185 0.815 0.750
Li2 0.316 0.316 0.000
Li3 0.684 0.684 0.500
Li4 0.815 0.185 0.250
Al1 0.326 0.326 0.500
Al2 0.674 0.674 0.000
Fe1 0.175 0.825 0.250
Fe2 0.825 0.175 0.750
O1 0.181 0.201 0.727
O2 0.201 0.181 0.273
O3 0.296 0.658 0.489
O4 0.342 0.704 0.011
O5 0.658 0.296 0.511
O6 0.704 0.342 0.989
O7 0.799 0.819 0.773
O8 0.819 0.799 0.227

***

Record 3
Computed, not measured: an optimized crystal structure of Li2AlFeO4 at the GGA+U level of DFT.

abc: 11.130 6.255 5.071
angles: 90.00 90.00 90.00
Fractional positions:
Li1 0.086 0.000 0.180
Li2 0.086 0.500 0.180
Li3 0.414 0.000 0.680
Li4 0.414 0.500 0.680
Li5 0.586 0.000 0.320
Li6 0.586 0.500 0.320
Li7 0.914 0.000 0.820
Li8 0.914 0.500 0.820
Al1 0.165 0.250 0.672
Al2 0.335 0.750 0.172
Al3 0.665 0.250 0.828
Al4 0.835 0.750 0.328
Fe1 0.167 0.750 0.674
Fe2 0.333 0.250 0.174
Fe3 0.667 0.750 0.826
Fe4 0.833 0.250 0.326
O1 0.091 0.012 0.778
O2 0.091 0.488 0.778
O3 0.174 0.250 0.319
O4 0.184 0.750 0.298
O5 0.316 0.250 0.798
O6 0.326 0.750 0.819
O7 0.409 0.512 0.278
O8 0.409 0.988 0.278
O9 0.591 0.012 0.722
O10 0.591 0.488 0.722
O11 0.674 0.250 0.181
O12 0.684 0.750 0.202
O13 0.816 0.250 0.702
O14 0.826 0.750 0.681
O15 0.909 0.512 0.222
O16 0.909 0.988 0.222

***

Record 4
Computed, not measured: an optimized crystal structure of Li3AlFeO5 at the GGA+U level of DFT.

abc: 5.338 16.229 5.068
angles: 90.00 90.00 90.00
Fractional positions:
Li1 0.163 0.101 0.000
Li2 0.171 0.498 0.997
Li3 0.172 0.701 0.990
Li4 0.328 0.201 0.490
Li5 0.329 0.998 0.497
Li6 0.337 0.601 0.500
Li7 0.663 0.399 0.000
Li8 0.671 0.002 0.997
Li9 0.672 0.799 0.990
Li10 0.828 0.299 0.490
Li11 0.829 0.502 0.497
Li12 0.837 0.899 0.500
Al1 0.165 0.298 0.989
Al2 0.335 0.798 0.489
Al3 0.665 0.202 0.989
Al4 0.835 0.702 0.489
Fe1 0.169 0.901 0.996
Fe2 0.331 0.401 0.496
Fe3 0.669 0.599 0.996
Fe4 0.831 0.099 0.496
O1 0.145 0.098 0.608
O2 0.153 0.711 0.590
O3 0.176 0.304 0.635
O4 0.194 0.494 0.603
O5 0.200 0.889 0.624
O6 0.300 0.389 0.124
O7 0.306 0.994 0.103
O8 0.324 0.804 0.135
O9 0.347 0.211 0.090
O10 0.355 0.598 0.108
O11 0.645 0.402 0.608
O12 0.653 0.789 0.590
O13 0.676 0.196 0.635
O14 0.694 0.006 0.603
O15 0.700 0.611 0.624
O16 0.800 0.111 0.124
O17 0.806 0.506 0.103
O18 0.824 0.696 0.135
O19 0.847 0.289 0.090
O20 0.855 0.902 0.108

***

One value per record, in order, for energy of formation from the pure elements: -2418; -2491; -2487; -2291 meV/atom.